VASP calculation (GGA-PBE) on a geometry-optimized Na3ScSi3Ge3S3O24 structure.

Unit cell a=8.626 b=8.635 c=22.176 alpha=90.14 beta=90.55 gamma=119.53
Space group P1 (No. 1)
Asymmetric unit:
Na  0.000  0.000  0.000
Na  0.001  0.989  0.497
Na  0.312  0.662  0.831
Na  0.326  0.670  0.329
Na  0.648  0.961  0.409
Na  0.652  0.332  0.162
Na  0.656  0.695  0.918
Na  0.659  0.336  0.663
Na  0.979  0.626  0.746
Sc  0.314  0.683  0.982
Sc  0.317  0.678  0.474
Sc  0.668  0.342  0.805
Si  0.026  0.669  0.581
Si  0.324  0.976  0.082
Si  0.368  0.063  0.413
Si  0.618  0.673  0.079
Si  0.658  0.618  0.408
Si  0.687  0.717  0.744
Si  0.713  0.013  0.248
Si  0.952  0.632  0.912
Si  0.993  0.275  0.744
Ge  0.305  0.639  0.684
Ge  0.371  0.710  0.179
Ge  0.638  0.318  0.310
Ge  0.654  0.354  0.020
Ge  0.660  0.360  0.514
Ge  0.971  0.982  0.645
Ge  0.973  0.993  0.847
Ge  0.979  0.001  0.141
Ge  0.985  0.981  0.350
S  0.033  0.380  0.083
S  0.272  0.999  0.745
S  0.274  0.293  0.246
S  0.321  0.371  0.580
S  0.358  0.325  0.913
S  0.616  0.965  0.581
S  0.662  0.053  0.914
S  0.940  0.334  0.411
S  0.991  0.709  0.245
O  0.012  0.853  0.589
O  0.016  0.200  0.089
O  0.030  0.823  0.302
O  0.033  0.194  0.806
O  0.113  0.493  0.137
O  0.117  0.489  0.417
O  0.120  0.637  0.643
O  0.136  0.450  0.028
O  0.145  0.705  0.523
O  0.146  0.652  0.915
O  0.151  0.688  0.240
O  0.152  0.003  0.096
O  0.158  0.961  0.800
O  0.162  0.196  0.587
O  0.167  0.481  0.741
O  0.169  0.210  0.301
O  0.173  0.050  0.402
O  0.179  0.164  0.908
O  0.194  0.031  0.690
O  0.197  0.181  0.192
O  0.267  0.850  0.023
O  0.287  0.835  0.740
O  0.288  0.471  0.241
O  0.297  0.454  0.526
O  0.344  0.488  0.918
O  0.347  0.867  0.417
O  0.358  0.487  0.636
O  0.365  0.887  0.142
O  0.438  0.295  0.969
O  0.447  0.155  0.751
O  0.458  0.312  0.250
O  0.465  0.183  0.474
O  0.467  0.350  0.860
O  0.485  0.354  0.577
O  0.486  0.625  0.139
O  0.487  0.645  0.414
O  0.498  0.713  0.732
O  0.499  0.133  0.354
O  0.505  0.878  0.634
O  0.510  0.164  0.070
O  0.511  0.868  0.917
O  0.512  0.831  0.242
O  0.543  0.703  0.017
O  0.546  0.861  0.525
O  0.633  0.128  0.859
O  0.634  0.145  0.576
O  0.635  0.497  0.348
O  0.642  0.496  0.077
O  0.665  0.520  0.747
O  0.685  0.158  0.969
O  0.689  0.192  0.254
O  0.706  0.549  0.471
O  0.769  0.833  0.807
O  0.799  0.984  0.586
O  0.800  0.977  0.309
O  0.810  0.536  0.970
O  0.812  0.852  0.089
O  0.821  0.302  0.745
O  0.827  0.298  0.466
O  0.827  0.485  0.574
O  0.828  0.535  0.251
O  0.830  0.797  0.689
O  0.831  0.039  0.910
O  0.836  0.043  0.189
O  0.836  0.821  0.404
O  0.850  0.356  0.076
O  0.861  0.365  0.356
O  0.863  0.526  0.850
O  0.954  0.169  0.406
O  0.961  0.795  0.192
O  0.962  0.833  0.905
O  0.973  0.163  0.683

* total moment: 0.00 μB per formula unit
* calculated total energy: -242.8 eV per formula unit
* energy with MP2020 corrections: -0.515 Ry per atom
* energy of formation from the pure elements: -2.37 eV/atom